! FeB2C6O6F8 GGA+U optimized geometry; values from VASP
&SYSTEM
  ibrav = 0, nat = 23, ntyp = 5
/
ATOMIC_SPECIES
Fe 55.84 Fe.upf
B 10.81 B.upf
C 12.01 C.upf
O 16.00 O.upf
F 19.00 F.upf
CELL_PARAMETERS angstrom
-3.6240 -6.8689 -0.3160
-5.5687 2.3764 4.8742
1.6744 3.9803 -6.4629
ATOMIC_POSITIONS crystal
Fe 0.5000 0.5000 0.0000
B 0.7500 0.2500 0.5000
B 0.2500 0.7500 0.5000
C 0.6716 0.6716 0.0000
C 0.6424 0.7076 0.3500
C 0.7076 0.3576 0.0652
C 0.3284 0.3284 0.0000
C 0.3576 0.2924 0.6500
C 0.2924 0.6424 0.9348
O 0.2271 0.2271 0.0000
O 0.1707 0.7282 0.8988
O 0.2718 0.1707 0.4425
O 0.7282 0.8293 0.5575
O 0.8293 0.2718 0.1012
O 0.7729 0.7729 0.0000
F 0.0449 0.7526 0.4439
F 0.9551 0.2474 0.5561
F 0.3989 0.9551 0.7077
F 0.6913 0.3989 0.4439
F 0.7526 0.3087 0.7077
F 0.6011 0.0449 0.2923
F 0.3087 0.6011 0.5561
F 0.2474 0.6913 0.2923
! symmetry: I4/m


! VF5 GGA+U optimized geometry; values from VASP
&SYSTEM
  ibrav = 0, nat = 24, ntyp = 2
/
ATOMIC_SPECIES
V 50.94 V.upf
F 19.00 F.upf
CELL_PARAMETERS angstrom
-1.8350 -8.5275 -4.2672
3.9714 0.8053 -3.3171
7.8326 -3.1154 2.8575
ATOMIC_POSITIONS crystal
V 0.7387 0.0807 0.0673
V 0.2387 0.9193 0.4327
V 0.7613 0.0807 0.5673
V 0.2613 0.9193 0.9327
F 0.6425 0.8050 0.6618
F 0.6389 0.3555 0.0785
F 0.8804 0.3114 0.0212
F 0.1113 0.1492 0.3050
F 0.7985 0.0793 0.3757
F 0.8611 0.3555 0.5785
F 0.1425 0.1950 0.8382
F 0.6196 0.3114 0.5212
F 0.3887 0.1492 0.8050
F 0.7015 0.0793 0.8757
F 0.2985 0.9207 0.1243
F 0.6113 0.8508 0.1950
F 0.3804 0.6886 0.4788
F 0.8575 0.8050 0.1618
F 0.1389 0.6445 0.4215
F 0.2015 0.9207 0.6243
F 0.8887 0.8508 0.6950
F 0.1196 0.6886 0.9788
F 0.3611 0.6445 0.9215
F 0.3575 0.1950 0.3382
! symmetry: P2_1/c


! Li3MnF7 GGA+U optimized geometry; values from VASP
&SYSTEM
  ibrav = 0, nat = 11, ntyp = 3
/
ATOMIC_SPECIES
Li 6.94 Li.upf
Mn 54.94 Mn.upf
F 19.00 F.upf
CELL_PARAMETERS angstrom
4.8616 -3.0587 0.0000
4.8616 3.0587 0.0000
2.9372 0.0000 4.9360
ATOMIC_POSITIONS crystal
Li 0.6232 0.1034 0.6232
Li 0.1034 0.6232 0.6232
Li 0.6232 0.6232 0.1034
Mn 0.0015 0.0015 0.0015
F 0.7847 0.2098 0.7847
F 0.2098 0.7847 0.7847
F 0.7847 0.7847 0.2098
F 0.7471 0.7471 0.7471
F 0.2290 0.7876 0.2290
F 0.2290 0.2290 0.7876
F 0.7876 0.2290 0.2290
! largest piezoelectric modulus: 0.4 C/m2
! symmetry: R3m
! distance to the lowest polymorph of the same formula: 0 meV/atom


no.,raw total energy (eV per atom),ΔE_f (eV per formula unit),calculated volume (Å³/f.u.)
1,-6.676,-41.4,325.4
2,-5.213,-16.6,103.2
3,-4.992,-31.5,146.8